1.
DFT (PBE) results for a relaxed CaAlSiH crystal.

Summary:
Magnetic moment: 0.0 μB/cell
Space group: P3m1, No. 156
Largest piezoelectric modulus: 1.0 C/m2
Crystal system: trigonal
Energy of formation: -0.4348 eV per atom

The structure in CIF format:
```
data_CaAlSiH
_chemical_formula_sum 'Ca1 Al1 Si1 H1'
_symmetry_space_group_name_H-M 'P 1'
_symmetry_Int_Tables_number 1
_cell_length_a 4.1433
_cell_length_b 4.1433
_cell_length_c 4.6982
_cell_angle_alpha 90.00
_cell_angle_beta 90.00
_cell_angle_gamma 120.00
loop_
_symmetry_equiv_pos_as_xyz
'x,y,z'
loop_
_atom_site_label
_atom_site_type_symbol
_atom_site_fract_x
_atom_site_fract_y
_atom_site_fract_z
_atom_site_occupancy
Ca1 Ca 0.0000 0.0000 0.0000 1
Al1 Al 0.6667 0.3333 0.4572 1
Si1 Si 0.3333 0.6667 0.5660 1
H1 H 0.6667 0.3333 0.0839 1
```


2.
DFT (PBE) results for a relaxed KCa3Mg3AlSi8O24 crystal.

Summary:
Magnetic moment: 0.0 μB/cell
Space group: P2, No. 3
Crystal system: monoclinic
Energy of formation: -3.2829 eV per atom

The structure in CIF format:
```
data_KCa3Mg3AlSi8O24
_chemical_formula_sum 'K1 Ca3 Mg3 Al1 Si8 O24'
_symmetry_space_group_name_H-M 'P 1'
_symmetry_Int_Tables_number 1
_cell_length_a 5.3234
_cell_length_b 9.0016
_cell_length_c 9.7837
_cell_angle_alpha 90.00
_cell_angle_beta 105.28
_cell_angle_gamma 90.00
loop_
_symmetry_equiv_pos_as_xyz
'x,y,z'
loop_
_atom_site_label
_atom_site_type_symbol
_atom_site_fract_x
_atom_site_fract_y
_atom_site_fract_z
_atom_site_occupancy
K1 K 0.0000 0.0000 0.0000 1
Ca1 Ca 0.0000 0.8846 0.5000 1
Ca2 Ca 0.5000 0.3829 0.0000 1
Ca3 Ca 0.5000 0.4906 0.5000 1
Mg1 Mg 0.0000 0.2803 0.5000 1
Mg2 Mg 0.0000 0.5954 0.0000 1
Mg3 Mg 0.5000 0.0942 0.5000 1
Al1 Al 0.5000 0.7871 0.0000 1
Si1 Si 0.1866 0.2815 0.2150 1
Si2 Si 0.1928 0.5990 0.7158 1
Si3 Si 0.3158 0.0922 0.7858 1
Si4 Si 0.3156 0.7822 0.2819 1
Si5 Si 0.6842 0.0922 0.2142 1
Si6 Si 0.6844 0.7822 0.7181 1
Si7 Si 0.8072 0.5990 0.2842 1
Si8 Si 0.8134 0.2815 0.7850 1
O1 O 0.1083 0.6702 0.3416 1
O2 O 0.1133 0.2080 0.8426 1
O3 O 0.1983 0.4372 0.1359 1
O4 O 0.2091 0.4421 0.6414 1
O5 O 0.2255 0.0934 0.6139 1
O6 O 0.2525 0.7643 0.1106 1
O7 O 0.2752 0.2785 0.3869 1
O8 O 0.2873 0.6141 0.8882 1
O9 O 0.2872 0.9379 0.3562 1
O10 O 0.3266 0.9321 0.8627 1
O11 O 0.3866 0.7093 0.6449 1
O12 O 0.3975 0.1775 0.1533 1
O13 O 0.6025 0.1775 0.8467 1
O14 O 0.6134 0.7093 0.3551 1
O15 O 0.6734 0.9321 0.1373 1
O16 O 0.7127 0.6141 0.1118 1
O17 O 0.7128 0.9379 0.6438 1
O18 O 0.7248 0.2785 0.6131 1
O19 O 0.7475 0.7643 0.8894 1
O20 O 0.7745 0.0934 0.3861 1
O21 O 0.7909 0.4421 0.3586 1
O22 O 0.8017 0.4372 0.8641 1
O23 O 0.8867 0.2080 0.1574 1
O24 O 0.8917 0.6702 0.6584 1
```